(1)
# Zr3BiF15 | the Materials Project | PBE | relaxed
data_Zr3BiF15
_chemical_formula_sum 'Zr12 Bi4 F60'
_cell_length_a 8.293
_cell_length_b 8.302
_cell_length_c 16.608
_cell_angle_alpha 100.26
_cell_angle_beta 100.06
_cell_angle_gamma 100.03
_symmetry_space_group_name_H-M 'P -1'
_symmetry_Int_Tables_number 2
loop_
_symmetry_equiv_pos_as_xyz
'x,y,z'
'-x,-y,-z'
loop_
_atom_site_label
_atom_site_type_symbol
_atom_site_fract_x
_atom_site_fract_y
_atom_site_fract_z
Zr1 Zr 0.175 0.243 0.412
Zr2 Zr 0.247 0.178 0.163
Zr3 Zr 0.248 0.747 0.374
Zr4 Zr 0.251 0.175 0.660
Zr5 Zr 0.253 0.750 0.878
Zr6 Zr 0.324 0.678 0.128
Bi1 Bi 0.180 0.251 0.912
Bi2 Bi 0.321 0.676 0.625
F1 F 0.005 0.275 0.140
F2 F 0.005 0.275 0.636
F3 F 0.034 0.654 0.592
F4 F 0.037 0.964 0.618
F5 F 0.048 0.978 0.137
F6 F 0.068 0.649 0.096
F7 F 0.152 0.192 0.281
F8 F 0.154 0.173 0.765
F9 F 0.186 0.145 0.036
F10 F 0.189 0.149 0.527
F11 F 0.219 0.726 0.752
F12 F 0.226 0.497 0.859
F13 F 0.226 0.724 0.247
F14 F 0.227 0.497 0.362
F15 F 0.245 0.448 0.513
F16 F 0.255 0.473 0.026
F17 F 0.267 0.002 0.386
F18 F 0.272 0.775 0.004
F19 F 0.278 0.785 0.500
F20 F 0.288 0.002 0.891
F21 F 0.309 0.445 0.175
F22 F 0.316 0.430 0.677
F23 F 0.344 0.944 0.156
F24 F 0.351 0.966 0.662
F25 F 0.430 0.307 0.425
F26 F 0.449 0.241 0.262
F27 F 0.466 0.318 0.924
F28 F 0.468 0.254 0.769
F29 F 0.493 0.225 0.113
F30 F 0.496 0.222 0.613
# corrected total energy (MP2020 scheme)	-6.815	eV/atom
# excess energy over the best structure of this formula in the dataset	0	meV per atom
# size of the total moment	0.00	μB per cell

***

(2)
# InAuO2 | the Materials Project | PBE | relaxed
data_InAuO2
_chemical_formula_sum 'In2 Au2 O4'
_cell_length_a 3.3697
_cell_length_b 3.3697
_cell_length_c 12.5523
_cell_angle_alpha 90.00
_cell_angle_beta 90.00
_cell_angle_gamma 120.00
_symmetry_space_group_name_H-M 'P 63/m m c'
_symmetry_Int_Tables_number 194
_symmetry_space_group_name_Hall '-P 6c 2c'
loop_
_atom_site_label
_atom_site_type_symbol
_atom_site_fract_x
_atom_site_fract_y
_atom_site_fract_z
In1 In 0.0000 0.0000 0.0000
Au1 Au 0.3333 0.6667 0.2500
O1 O 0.3333 0.6667 0.0843
# corrected total energy (MP2020 scheme)	-5.308	eV/atom

***

(3)
# Fe10CuN8 | the Materials Project | PBE | relaxed
data_Fe10CuN8
_chemical_formula_sum 'Fe20 Cu2 N16'
_cell_length_a 17.045
_cell_length_b 3.768
_cell_length_c 6.041
_cell_angle_alpha 90.00
_cell_angle_beta 109.92
_cell_angle_gamma 90.00
_symmetry_space_group_name_H-M 'C 1 2/m 1'
_symmetry_Int_Tables_number 12
loop_
_symmetry_equiv_pos_as_xyz
'x,y,z'
'-x,-y,-z'
'-x,y,-z'
'x,-y,z'
'x+1/2,y+1/2,z'
'-x+1/2,-y+1/2,-z'
'-x+1/2,y+1/2,-z'
'x+1/2,-y+1/2,z'
loop_
_atom_site_label
_atom_site_type_symbol
_atom_site_fract_x
_atom_site_fract_y
_atom_site_fract_z
Fe1 Fe 0.020 0.000 0.296
Fe2 Fe 0.081 0.500 0.675
Fe3 Fe 0.155 0.500 0.314
Fe4 Fe 0.180 0.000 0.648
Fe5 Fe 0.199 0.000 0.092
Cu1 Cu 0.000 0.500 0.000
N1 N 0.036 0.500 0.327
N2 N 0.105 0.000 0.802
N3 N 0.143 0.000 0.322
N4 N 0.222 0.500 0.115
# corrected total energy (MP2020 scheme)	-8.141	eV/atom
# size of the total moment	24.79	μB per cell

***

(4)
# AgI3O8 | the Materials Project | PBE | relaxed
data_AgI3O8
_chemical_formula_sum 'Ag8 I24 O64'
_cell_length_a 8.253
_cell_length_b 8.253
_cell_length_c 24.148
_cell_angle_alpha 90.00
_cell_angle_beta 90.00
_cell_angle_gamma 90.00
_symmetry_space_group_name_H-M 'I -4'
_symmetry_Int_Tables_number 82
loop_
_symmetry_equiv_pos_as_xyz
'x,y,z'
'y,-x,-z'
'-x,-y,z'
'-y,x,-z'
'x+1/2,y+1/2,z+1/2'
'y+1/2,-x+1/2,-z+1/2'
'-x+1/2,-y+1/2,z+1/2'
'-y+1/2,x+1/2,-z+1/2'
loop_
_atom_site_label
_atom_site_type_symbol
_atom_site_fract_x
_atom_site_fract_y
_atom_site_fract_z
Ag1 Ag 0.000 0.000 0.130
Ag2 Ag 0.000 0.500 0.116
I1 I 0.000 0.000 0.342
I2 I 0.000 0.500 0.594
I3 I 0.220 0.750 0.219
I4 I 0.228 0.748 0.471
O1 O 0.004 0.730 0.207
O2 O 0.011 0.763 0.460
O3 O 0.048 0.167 0.706
O4 O 0.055 0.332 0.953
O5 O 0.068 0.233 0.071
O6 O 0.074 0.258 0.825
O7 O 0.084 0.238 0.338
O8 O 0.092 0.267 0.588
# corrected total energy (MP2020 scheme)	-4.670	eV/atom
# size of the total moment	0.01	μB per cell

***

(5)
# Li4H6Ru | the Materials Project | PBE | relaxed
data_Li4H6Ru
_chemical_formula_sum 'Li24 H36 Ru6'
_cell_length_a 8.1415
_cell_length_b 8.1415
_cell_length_c 9.9525
_cell_angle_alpha 90.00
_cell_angle_beta 90.00
_cell_angle_gamma 120.00
_symmetry_space_group_name_H-M 'R -3 c'
_symmetry_Int_Tables_number 167
_symmetry_space_group_name_Hall '-R 3 2"c'
loop_
_atom_site_label
_atom_site_type_symbol
_atom_site_fract_x
_atom_site_fract_y
_atom_site_fract_z
Li1 Li 0.0000 0.0000 0.2500
Li2 Li 0.0000 0.3852 0.2500
H1 H 0.0404 0.1883 0.3997
Ru1 Ru 0.0000 0.0000 0.0000
# electronic total energy	-251.37	eV per cell

***

(6)
# CePrFe4 | the Materials Project | PBE | relaxed
data_CePrFe4
_chemical_formula_sum 'Ce4 Pr4 Fe16'
_cell_length_a 7.397
_cell_length_b 7.397
_cell_length_c 7.397
_cell_angle_alpha 90.00
_cell_angle_beta 90.00
_cell_angle_gamma 90.00
_symmetry_space_group_name_H-M 'F -4 3 m'
_symmetry_Int_Tables_number 216
_symmetry_space_group_name_Hall 'F -4 2 3'
loop_
_atom_site_label
_atom_site_type_symbol
_atom_site_fract_x
_atom_site_fract_y
_atom_site_fract_z
Ce1 Ce 0.000 0.000 0.000
Pr1 Pr 0.250 0.250 0.250
Fe1 Fe 0.125 0.125 0.625
# electronic total energy	-177.42	eV per cell
# size of the total moment	26.89	μB per cell

***

(7)
# LaN | the Materials Project | PBE | relaxed
data_LaN
_chemical_formula_sum 'La2 N2'
_cell_length_a 4.458
_cell_length_b 4.458
_cell_length_c 3.756
_cell_angle_alpha 90.00
_cell_angle_beta 90.00
_cell_angle_gamma 90.00
_symmetry_space_group_name_H-M 'P 4/n m m'
_symmetry_Int_Tables_number 129
loop_
_symmetry_equiv_pos_as_xyz
'x,y,z'
'-x,-y,-z'
'-y+1/2,x,z'
'y+1/2,-x,-z'
'-x+1/2,-y+1/2,z'
'x+1/2,y+1/2,-z'
'y,-x+1/2,z'
'-y,x+1/2,-z'
'x+1/2,-y,-z'
'-x+1/2,y,z'
'-y,-x,-z'
'y,x,z'
'-x,y+1/2,-z'
'x,-y+1/2,z'
'y+1/2,x+1/2,-z'
'-y+1/2,-x+1/2,z'
loop_
_atom_site_label
_atom_site_type_symbol
_atom_site_fract_x
_atom_site_fract_y
_atom_site_fract_z
La1 La 0.250 0.250 0.239
N1 N 0.250 0.750 0.500
# corrected total energy (MP2020 scheme)	-8.021	eV/atom
# size of the total moment	0.00	μB per cell

***

(8)
# MgCu3AsS4 | the Materials Project | PBE | relaxed
data_MgCu3AsS4
_chemical_formula_sum 'Mg1 Cu3 As1 S4'
_cell_length_a 5.592
_cell_length_b 5.592
_cell_length_c 5.592
_cell_angle_alpha 90.00
_cell_angle_beta 90.00
_cell_angle_gamma 90.00
_symmetry_space_group_name_H-M 'P -4 3 m'
_symmetry_Int_Tables_number 215
_symmetry_space_group_name_Hall 'P -4 2 3'
loop_
_atom_site_label
_atom_site_type_symbol
_atom_site_fract_x
_atom_site_fract_y
_atom_site_fract_z
Mg1 Mg 0.000 0.000 0.000
Cu1 Cu 0.000 0.000 0.500
As1 As 0.500 0.500 0.500
S1 S 0.246 0.246 0.754
# corrected total energy (MP2020 scheme)	-4.371	eV/atom
# excess energy over the best structure of this formula in the dataset	4	meV per atom
# size of the total moment	0.00	μB per cell

***

no.,calculated volume (Å³ per atom)
1,14.24
2,15.43
3,9.60
4,17.13
5,8.66
6,16.86
7,18.67
8,19.43